CaY5Mo2O12: optimized geometry, PBE+U.

Structure (POSCAR):
```
CaY5Mo2O12
1.0
-4.275 -0.935 -4.086
-0.401 -3.947 5.823
-3.255 6.602 1.861
O Y Mo Ca
12 5 2 1
Cartesian
-5.877 1.777 -0.767 O
-4.242 -0.475 2.388 O
-3.404 3.419 5.299 O
-6.899 4.356 -2.492 O
-3.814 2.225 1.222 O
-2.085 -0.031 4.392 O
-5.035 0.890 5.146 O
-4.307 -1.635 -1.668 O
-4.941 0.384 -3.644 O
-5.788 2.799 3.085 O
-3.136 -3.065 3.997 O
-2.222 -1.210 0.492 O
-4.448 -2.033 0.775 Y
-4.089 -1.186 4.544 Y
-5.870 0.863 1.552 Y
-3.727 3.771 3.108 Y
-2.177 0.687 2.093 Y
-1.476 -4.162 4.772 Mo
-6.801 1.995 4.631 Mo
-5.685 3.650 0.818 Ca
```

Computed properties:
magnetic moment	1.0	μB per formula unit
ΔE_f	-3217	meV per atom
excess energy over the best structure of this formula in the dataset	10	meV per atom



NiBiP2O9: optimized geometry, PBE+U.

Structure (POSCAR):
```
NiBiP2O9
1.0
-6.136 2.150 1.033
1.121 -0.620 7.945
4.803 13.524 0.379
Ni O P Bi
4 36 8 4
Cartesian
0.000 0.000 0.000 Ni
-3.068 1.075 0.517 Ni
-0.106 7.527 4.679 Ni
2.962 6.452 4.162 Ni
-1.708 9.988 8.085 O
1.495 5.066 1.272 O
0.501 9.214 7.713 O
3.358 13.691 1.940 O
2.028 10.478 0.727 O
-3.160 4.631 3.056 O
1.795 7.537 5.462 O
-2.356 10.196 4.463 O
1.948 12.457 3.686 O
0.604 3.629 6.523 O
-0.714 5.840 1.644 O
0.122 14.429 2.160 O
-0.259 5.700 5.299 O
-2.241 4.576 8.630 O
-4.371 3.370 6.043 O
2.499 12.264 8.015 O
-3.571 1.363 7.417 O
-1.185 7.558 8.696 O
4.901 11.423 7.611 O
0.046 9.354 4.058 O
-2.161 2.596 5.671 O
0.133 3.436 4.130 O
-2.712 2.789 1.342 O
-1.360 8.230 6.255 O
4.158 11.683 3.314 O
2.948 10.423 6.301 O
-5.114 3.631 1.746 O
0.972 7.495 0.662 O
0.715 14.598 5.328 O
1.148 6.824 3.102 O
-0.928 0.456 4.029 O
-2.008 7.517 3.895 O
-0.346 11.618 5.227 O
2.143 4.858 4.895 O
-0.335 0.625 7.197 O
-0.817 11.425 2.834 O
-3.617 3.981 1.695 P
-0.896 10.565 4.153 P
3.358 13.026 3.326 P
3.405 11.073 7.662 P
-0.965 8.677 7.672 P
0.683 4.488 5.204 P
-3.571 2.028 6.032 P
0.752 6.377 1.685 P
-0.016 13.234 3.825 Bi
-2.624 6.586 2.171 Bi
-0.197 1.820 5.533 Bi
2.411 8.467 7.186 Bi
```

Computed properties:
magnetic moment	1.0	μB per formula unit
ΔE_f	-1889	meV per atom



Mn6O5F7: optimized geometry, PBE+U.

Structure (POSCAR):
```
Mn6O5F7
1.0
-0.390 -4.265 -3.092
5.049 -1.239 1.324
-5.868 -7.254 11.529
F O Mn
14 10 12
Cartesian
-0.825 -9.275 10.833 F
-0.376 -8.015 5.554 F
-4.662 -10.381 8.100 F
-0.241 -3.982 2.056 F
1.065 -4.130 -0.911 F
0.004 -9.303 7.809 F
-3.037 -8.193 4.001 F
0.583 -5.257 4.621 F
-0.207 -6.086 0.477 F
0.011 -1.839 0.560 F
-1.920 -4.099 4.309 F
-3.437 -6.220 8.476 F
-2.612 -6.310 5.848 F
2.732 -2.236 0.949 F
2.169 -5.678 2.067 O
3.424 -4.693 -0.061 O
-1.621 -6.418 2.731 O
-2.248 -11.074 9.027 O
2.660 -3.298 3.418 O
-0.124 -5.844 7.066 O
-3.305 -8.378 9.960 O
-2.676 -8.813 7.363 O
-0.974 -6.927 9.128 O
0.736 -7.489 3.163 O
-1.424 -7.306 7.199 Mn
1.664 -5.813 -0.187 Mn
-1.071 -8.355 3.196 Mn
-2.845 -10.806 7.225 Mn
1.681 -7.010 5.297 Mn
0.238 -5.713 2.684 Mn
0.220 -10.139 5.799 Mn
3.562 -4.349 1.960 Mn
-2.891 -10.154 10.593 Mn
-4.266 -8.261 8.295 Mn
4.521 -5.420 -1.734 Mn
2.656 -7.651 2.219 Mn
```

Computed properties:
magnetic moment	25.0	μB per formula unit
ΔE_f	-2388	meV per atom
excess energy over the best structure of this formula in the dataset	52	meV per atom



CrHO2: optimized geometry, PBE+U.

Structure (POSCAR):
```
CrHO2
1.0
0.462 1.114 -2.810
1.498 1.193 2.384
12.995 -11.827 -4.266
H Cr O
4 4 8
Cartesian
2.596 -0.441 -1.420 H
12.604 -9.295 -3.320 H
9.615 -6.319 -0.955 H
5.586 -3.418 -3.785 H
10.492 -7.759 -4.715 Cr
0.484 1.096 -2.813 Cr
7.499 -4.778 -2.350 Cr
4.508 -1.800 0.013 Cr
13.399 -9.998 -3.472 O
8.562 -5.387 -0.753 O
10.409 -7.022 -1.107 O
11.555 -8.367 -3.118 O
4.536 -2.487 -3.582 O
3.390 -1.144 -1.575 O
1.548 0.487 -1.215 O
6.380 -4.122 -3.939 O
```

Computed properties:
largest piezoelectric modulus	4.6	C/m2
ΔE_f	-1987	meV per atom



Ce4FeSe6O: optimized geometry, PBE+U.

Structure (POSCAR):
```
Ce4FeSe6O
1.0
-5.940 2.942 6.798
-3.012 -6.102 -6.621
1.992 -5.417 4.086
Ce Se O Fe
8 12 2 2
Cartesian
-4.679 -0.699 5.549 Ce
-1.911 -8.882 -0.530 Ce
-3.419 -4.633 -0.982 Ce
-0.682 -6.393 2.171 Ce
-2.256 -1.899 2.776 Ce
-4.334 -7.682 2.243 Ce
-5.908 -3.188 2.848 Ce
-3.399 -4.328 5.534 Ce
-4.096 -2.210 8.073 Se
-4.516 -7.365 -0.758 Se
-0.455 -4.014 3.906 Se
-6.888 -0.405 3.507 Se
-1.073 -2.472 0.132 Se
-3.217 0.891 3.434 Se
-5.942 -5.951 4.014 Se
-4.452 -1.612 0.719 Se
-6.561 -4.409 0.240 Se
-0.844 -6.069 -0.830 Se
-2.920 -6.212 -3.927 Se
-3.280 -4.862 1.958 Se
-4.063 -2.522 4.172 O
-2.091 -8.245 1.742 O
0.000 -0.001 0.001 Fe
0.997 -2.710 2.044 Fe
```

Computed properties:
magnetic moment	6.0	μB per formula unit
ΔE_f	-1808	meV per atom



LiVF3: optimized geometry, PBE+U.

Structure (POSCAR):
```
LiVF3
1.0
-0.236 2.919 5.438
0.859 -5.373 2.921
6.111 0.868 -0.201
V F Li
4 12 4
Cartesian
3.906 2.234 4.928 V
5.714 -2.319 2.549 V
1.497 -2.534 5.989 V
2.353 -0.554 2.850 V
1.494 1.222 2.009 F
0.352 -1.229 2.475 F
1.782 -0.721 4.879 F
5.950 2.367 4.294 F
3.934 0.742 3.387 F
5.439 -4.256 3.428 F
1.208 -1.079 7.538 F
3.534 -2.088 6.488 F
3.633 -2.224 3.059 F
5.845 -1.825 4.632 F
4.754 0.582 6.000 F
2.482 -1.012 0.759 F
2.817 -0.123 6.598 Li
5.802 0.280 4.213 Li
0.580 -0.137 0.702 Li
4.269 -3.194 4.803 Li
```

Computed properties:
magnetic moment	3.0	μB per formula unit
ΔE_f	-2993	meV per atom
excess energy over the best structure of this formula in the dataset	53	meV per atom



RbLiNd2Mo4O16: optimized geometry, PBE+U.

Structure (POSCAR):
```
RbLiNd2Mo4O16
1.0
-1.838 -4.848 -4.899
2.569 -0.184 6.653
-18.524 -0.950 7.449
O Nd Mo Li Rb
32 4 8 2 2
Cartesian
-11.096 -2.170 4.500 O
-6.231 -2.701 2.051 O
-14.998 -5.389 4.780 O
-3.919 -2.991 5.819 O
-6.697 -3.812 4.703 O
-8.712 -4.481 2.607 O
-4.192 -0.469 7.160 O
-17.940 -5.443 5.101 O
-13.874 -2.991 3.383 O
-11.562 -3.281 7.152 O
-11.850 -5.041 4.263 O
-16.586 -4.259 2.674 O
-16.501 -3.398 10.192 O
-2.795 -0.593 4.422 O
0.147 -0.539 4.101 O
-1.251 -3.151 4.042 O
-0.273 -3.984 1.391 O
-14.667 -2.302 7.941 O
-16.314 -4.663 7.497 O
-9.082 -1.501 6.596 O
-11.412 -3.445 1.805 O
-5.943 -0.941 4.940 O
-1.479 -1.319 1.706 O
-3.126 -3.680 1.262 O
-17.520 -1.998 7.812 O
-13.601 -5.513 2.042 O
-1.292 -2.585 -0.989 O
-8.446 -1.722 3.595 O
-6.382 -2.537 7.398 O
-9.347 -4.261 5.608 O
-16.542 -2.831 5.160 O
-1.207 -1.723 6.528 O
-7.965 -1.379 8.945 Nd
-9.828 -4.603 0.257 Nd
-15.971 -1.776 12.159 Nd
-1.823 -4.206 -2.957 Nd
-16.170 -3.117 8.383 Mo
-16.480 -4.490 4.419 Mo
-1.313 -1.492 4.783 Mo
-7.466 -3.233 3.196 Mo
-10.328 -2.749 6.007 Mo
-1.624 -2.865 0.819 Mo
-5.073 -1.744 6.319 Mo
-12.720 -4.238 2.884 Mo
-5.096 -3.632 0.563 Li
-12.697 -2.350 8.640 Li
-6.339 -4.948 -2.695 Rb
-11.455 -1.034 11.898 Rb
```

Computed properties:
magnetic moment	0.0	μB per formula unit
ΔE_f	-2514	meV per atom



Li2Co2SiO6: optimized geometry, PBE+U.

Structure (POSCAR):
```
Li2Co2SiO6
1.0
2.537 -4.274 0.000
2.537 4.274 0.000
0.000 0.000 9.969
Li O Si Co
4 12 2 4
Cartesian
1.888 -2.137 7.477 Li
3.187 2.137 2.492 Li
3.187 -2.137 2.492 Li
1.888 2.137 7.477 Li
4.063 0.000 4.067 O
1.012 0.000 5.902 O
1.838 -1.340 3.927 O
3.549 0.000 9.052 O
1.838 2.935 1.058 O
3.237 1.340 6.042 O
3.237 -2.935 8.911 O
1.838 1.340 3.927 O
1.838 -2.935 1.058 O
3.237 2.935 8.911 O
3.237 -1.340 6.042 O
1.525 0.000 0.917 O
2.537 0.000 4.984 Si
0.000 0.000 0.000 Si
2.537 1.402 0.000 Co
2.537 -2.872 4.984 Co
2.537 2.872 4.984 Co
2.537 -1.402 0.000 Co
```

Computed properties:
magnetic moment	0.0	μB per formula unit
ΔE_f	-2024	meV per atom



Question: Which of these has the highest ΔE_f?
Answer: Ce4FeSe6O